VASP calculation (PBE) on a relaxed Ba2N crystal.

## Properties
MP2020-corrected energy in eV per atom: -4.584
VASP energy in eV/atom: -4.463
DFT formation energy in eV per atom: -0.525

CIF file:
```
data_Ba2N
_chemical_formula_sum 'Ba6 N3'
_symmetry_space_group_name_H-M 'R -3 m'
_symmetry_Int_Tables_number 166
_symmetry_space_group_name_Hall '-R 3 2"'
_cell_length_a 4.0643
_cell_length_b 4.0643
_cell_length_c 22.8261
_cell_angle_alpha 90.00
_cell_angle_beta 90.00
_cell_angle_gamma 120.00
loop_
_atom_site_label
_atom_site_type_symbol
_atom_site_fract_x
_atom_site_fract_y
_atom_site_fract_z
Ba1 Ba 0.0000 0.0000 0.2327
N1 N 0.0000 0.0000 0.5000
```